! Li4FeN2 GGA-PBE optimized geometry; values from VASP
! Energy of formation ... -1.36 eV per formula unit
! Electronic total energy ... -4.77 eV per atom
! SG ... No. 71
&SYSTEM
  ibrav = 0, nat = 14, ntyp = 3
/
ATOMIC_SPECIES
Li 6.94 Li.upf
Fe 55.84 Fe.upf
N 14.01 N.upf
ATOMIC_POSITIONS angstrom
Li 0.000 1.048 2.024
Li 0.000 1.048 6.125
Li 0.000 5.277 2.024
Li 0.000 5.277 6.125
Li 1.803 2.114 2.051
Li 1.803 2.114 6.098
Li 1.803 4.211 2.051
Li 1.803 4.211 6.098
Fe 0.000 3.163 4.074
Fe 1.803 0.000 0.000
N 0.000 3.163 2.255
N 0.000 3.163 5.893
N 1.803 0.000 1.819
N 1.803 0.000 6.330
CELL_PARAMETERS angstrom
3.607 0.000 0.000
0.000 6.325 0.000
0.000 0.000 8.148